Density functional theory data (GGA-PBE) for an optimized crystal structure of AlZnB5H16C4N4O10.

Values from the calculation:
ΔE_f, eV/atom: -1.309
Crystal system: orthorhombic
Size of the total moment, Bohr magnetons per cell: 0.00
Volume, Å³/cell: 3168.5

Unit cell a=13.6331 b=14.0949 c=16.4890 alpha=90.00 beta=90.00 gamma=90.00
Closest atoms and distances in Å follow each position.
Space group Pbca (No. 61)
One atom of each set of equivalent atoms:
Al  0.2236  0.0668  0.1569 [8 per cell]  4 O 1.74-1.77
Zn  0.2090  0.6274  0.8938 [8 per cell]  1 O 2.10, 4 N 2.12-2.19
B  0.0105  0.1292  0.1393 [8 per cell]  3 O 1.35-1.42
B  0.1308  0.6739  0.4493 [8 per cell]  4 O 1.47-1.52
B  0.1573  0.6121  0.3084 [8 per cell]  3 O 1.35-1.40
B  0.1832  0.7071  0.0590 [8 per cell]  3 O 1.35-1.40
B  0.1850  0.6230  0.5894 [8 per cell]  3 O 1.35-1.41
H  0.0046  0.1598  0.9092 [8 per cell]  1 C 1.10
H  0.0122  0.0758  0.4209 [8 per cell]  1 C 1.10
H  0.0227  0.0965  0.5809 [8 per cell]  1 C 1.10
H  0.0442  0.6958  0.8242 [8 per cell]  1 N 1.02
H  0.0527  0.0687  0.8461 [8 per cell]  1 C 1.10
H  0.0589  0.0430  0.6743 [8 per cell]  1 C 1.10
H  0.0614  0.2215  0.7733 [8 per cell]  1 C 1.10
H  0.0774  0.0669  0.3281 [8 per cell]  1 C 1.10
H  0.0874  0.6090  0.7659 [8 per cell]  1 N 1.02
H  0.1242  0.2249  0.3553 [8 per cell]  1 C 1.10
H  0.1348  0.1483  0.9934 [8 per cell]  1 N 1.02
H  0.1374  0.0390  0.9624 [8 per cell]  1 N 1.03
H  0.1459  0.0013  0.4880 [8 per cell]  1 N 1.02
H  0.2053  0.0596  0.4157 [8 per cell]  1 N 1.03
H  0.2057  0.1250  0.7498 [8 per cell]  1 N 1.03
H  0.2448  0.2329  0.7648 [8 per cell]  1 N 1.02
C  0.0046  0.5616  0.8638 [8 per cell]  2 H 1.10
C  0.0603  0.0294  0.3848 [8 per cell]  2 H 1.10
C  0.0718  0.1330  0.8805 [8 per cell]  2 H 1.10
C  0.1134  0.2078  0.8230 [8 per cell]  2 H 1.10
N  0.0723  0.6287  0.8243 [8 per cell]  2 H 1.02
N  0.1455  0.1078  0.9426 [8 per cell]  2 H 1.02-1.03
N  0.1536  0.0077  0.4265 [8 per cell]  2 H 1.02-1.03
N  0.2103  0.1775  0.7928 [8 per cell]  2 H 1.02-1.03
O  0.0260  0.6736  0.4289 [8 per cell]  2 B 1.38-1.47
O  0.0557  0.5992  0.2997 [8 per cell]  2 B 1.40-1.42
O  0.1074  0.1170  0.1509 [8 per cell]  1 B 1.35
O  0.1530  0.6023  0.5125 [8 per cell]  2 B 1.37-1.48
O  0.1586  0.7278  0.9786 [8 per cell]  2 B 1.40-1.52
O  0.1904  0.7188  0.6145 [8 per cell]  2 B 1.39-1.41
O  0.1930  0.6534  0.3785 [8 per cell]  2 B 1.38-1.47
O  0.2023  0.6162  0.0793 [8 per cell]  1 B 1.35
O  0.2128  0.5567  0.6443 [8 per cell]  1 B 1.35
O  0.2206  0.5836  0.2506 [8 per cell]  1 B 1.35

---

Density functional theory data (GGA-PBE) for an optimized crystal structure of SnHgO3.

Values from the calculation:
ΔE_f, eV/atom: -1.455
Crystal system: trigonal
Size of the total moment, Bohr magnetons per cell: 0.00
Volume, Å³/cell: 397.0

Unit cell a=5.6738 b=5.6738 c=14.2398 alpha=90.00 beta=90.00 gamma=120.00
Closest atoms and distances in Å follow each position.
Space group R-3c (No. 167, hexagonal axes)
One atom of each set of equivalent atoms:
Sn  0.0000  0.0000  0.0000 [6 per cell]  6 O 2.11
Hg  0.0000  0.0000  0.2500 [6 per cell]  3 O 2.25
O  0.0000  0.3965  0.2500 [18 per cell]  2 Sn 2.11, 1 Hg 2.25

---

Density functional theory data (GGA-PBE) for an optimized crystal structure of UCr6P4.

Values from the calculation:
ΔE_f, eV/atom: -0.532
Crystal system: hexagonal
Volume, Å³/cell: 142.6

Unit cell a=7.0307 b=7.0307 c=3.3320 alpha=90.00 beta=90.00 gamma=120.00
Closest atoms and distances in Å follow each position.
Space group P-6m2 (No. 187)
One atom of each set of equivalent atoms:
U  0.0000  0.0000  0.0000 [1 per cell]  6 P 2.83, 6 Cr 2.95
Cr  0.0738  0.5369  0.0000 [3 per cell]  5 P 2.37-2.48
Cr  0.4000  0.2000  0.5000 [3 per cell]  4 P 2.33-2.37
P  0.1879  0.3758  0.5000 [3 per cell]  6 Cr 2.37
P  0.6667  0.3333  0.0000 [1 per cell]  9 Cr 2.33-2.48

---

Density functional theory data (GGA-PBE) for an optimized crystal structure of Sc3Si3Pt.

Values from the calculation:
ΔE_f, eV/atom: -1.002
Crystal system: orthorhombic
Volume, Å³/cell: 487.9

Unit cell a=11.7250 b=4.0575 c=10.2558 alpha=90.00 beta=90.00 gamma=90.00
Closest atoms and distances in Å follow each position.
Space group Pnma (No. 62)
One atom of each set of equivalent atoms:
Sc  0.0213  0.2500  0.1238 [4 per cell]  7 Si 2.72-2.93, 1 Pt 3.04
Sc  0.0995  0.2500  0.4197 [4 per cell]  6 Si 2.77-2.85
Sc  0.1991  0.7500  0.6592 [4 per cell]  6 Si 2.75-2.90
Si  0.0431  0.2500  0.6884 [4 per cell]  1 Si 2.43, 1 Pt 2.58
Si  0.1559  0.7500  0.2471 [4 per cell]  2 Si 2.38-2.43, 1 Pt 2.42
Si  0.1760  0.7500  0.0166 [4 per cell]  1 Si 2.38, 2 Pt 2.42
Pt  0.1781  0.2500  0.8871 [4 per cell]  4 Si 2.42-2.58

---

Density functional theory data (GGA-PBE) for an optimized crystal structure of Li4P2O7.

Values from the calculation:
ΔE_f, eV/atom: -2.744
Crystal system: triclinic
Volume, Å³/cell: 298.1

Unit cell a=5.2605 b=7.2155 c=8.6620 alpha=77.33 beta=89.98 gamma=68.88
Closest atoms and distances in Å follow each position.
Space group P-1 (No. 2)
One atom of each set of equivalent atoms:
Li  0.0278  0.3277  0.2913 [2 per cell]  4 O 1.96-2.04
Li  0.0570  0.2419  0.9508 [2 per cell]  4 O 1.91-2.10
Li  0.2555  0.8550  0.5120 [2 per cell]  4 O 1.91-2.01
Li  0.3957  0.5887  0.2517 [2 per cell]  4 O 1.95-2.04
P  0.2157  0.2208  0.6545 [2 per cell]  4 O 1.52-1.65
P  0.4260  0.7867  0.8680 [2 per cell]  4 O 1.52-1.65
O  0.0061  0.6057  0.2907 [2 per cell]  1 P 1.54
O  0.1171  0.1514  0.5180 [2 per cell]  1 P 1.54
O  0.2669  0.0376  0.8161 [2 per cell]  2 P 1.65
O  0.2674  0.2566  0.1235 [2 per cell]  1 P 1.53
O  0.3148  0.7322  0.0262 [2 per cell]  1 P 1.52
O  0.3382  0.7024  0.7365 [2 per cell]  1 P 1.55
O  0.4801  0.2582  0.6257 [2 per cell]  1 P 1.52

---

Density functional theory data (GGA-PBE) for an optimized crystal structure of KRuO3.

Values from the calculation:
ΔE_f, eV/atom: -1.537
Crystal system: cubic
Size of the total moment, Bohr magnetons per cell: 0.02
Volume, Å³/cell: 61.1

Unit cell a=3.9393 b=3.9393 c=3.9393 alpha=90.00 beta=90.00 gamma=90.00
Closest atoms and distances in Å follow each position.
Space group Pm-3m (No. 221)
One atom of each set of equivalent atoms:
K  0.0000  0.0000  0.0000 [1 per cell]  12 O 2.79
Ru  0.5000  0.5000  0.5000 [1 per cell]  6 O 1.97
O  0.0000  0.5000  0.5000 [3 per cell]  2 Ru 1.97